Entry 1:
This record from the Materials Project database describes crystalline La3AlO6 at its relaxed geometry. The functional is r²SCAN.

Lattice parameters (Å, degrees): 9.355 11.763 5.630 90.00 90.00 90.00
Space group Cmc2_1 (No. 36)
Unique sites:
1 La 0.000 0.106 0.000 x4
2 La 0.193 0.392 0.964 x8
3 Al 0.000 0.307 0.424 x4
4 O 0.000 0.288 0.736 x4
5 O 0.000 0.449 0.312 x4
6 O 0.147 0.242 0.274 x8
7 O 0.159 0.011 0.729 x8

For the energy of formation from the pure elements, the calculation gives -36.8 eV per formula unit.


Entry 2:
This record from the Materials Project database describes crystalline LaAlO3 at its relaxed geometry. The functional is r²SCAN.

Lattice parameters (Å, degrees): 5.347 5.347 7.601 90.00 90.00 90.00
Space group I4/mcm (No. 140)
Unique sites:
1 La 0.000 0.500 0.250 x4
2 Al 0.000 0.000 0.000 x4
3 O 0.000 0.000 0.250 x4
4 O 0.223 0.277 0.000 x8

For the energy of formation from the pure elements, the calculation gives -18.3 eV per formula unit.


Entry 3:
This record from the Materials Project database describes crystalline LaAl2Pd2 at its relaxed geometry. The functional is r²SCAN.

Lattice parameters (Å, degrees): 4.438 4.438 10.003 90.00 90.00 90.00
Space group P4/nmm (No. 129, origin choice 2)
Unique sites:
1 La 0.250 0.250 0.247 x2
2 Al 0.250 0.250 0.879 x2
3 Al 0.250 0.750 0.500 x2
4 Pd 0.250 0.250 0.628 x2
5 Pd 0.250 0.750 0.000 x2

For the energy of formation from the pure elements, the calculation gives -4.5 eV per formula unit.


Entry 4:
This record from the Materials Project database describes crystalline LaAl2Pt3 at its relaxed geometry. The functional is r²SCAN.

Lattice parameters (Å, degrees): 5.6370 5.6370 3.9527 90.00 90.00 120.00
Space group P6/mmm (No. 191)
Unique sites:
1 La 0.0000 0.0000 0.0000 x1
2 Al 0.3333 0.6667 0.0000 x2
3 Pt 0.0000 0.5000 0.5000 x3

For the energy of formation from the pure elements, the calculation gives -7.2 eV per formula unit.


Entry 5:
This record from the Materials Project database describes crystalline LaAl10Ru2 at its relaxed geometry. The functional is r²SCAN.

Lattice parameters (Å, degrees): 9.101 10.289 9.168 90.00 90.00 90.00
Space group Cmcm (No. 63)
Unique sites:
1 La 0.000 0.122 0.250 x4
2 Al 0.000 0.164 0.602 x8
3 Al 0.000 0.378 0.052 x8
4 Al 0.148 0.369 0.750 x8
5 Al 0.227 0.365 0.250 x8
6 Al 0.230 0.000 0.000 x8
7 Ru 0.250 0.250 0.000 x8

For the energy of formation from the pure elements, the calculation gives -7.4 eV per formula unit.


Entry 6:
This record from the Materials Project database describes crystalline LaAlSi at its relaxed geometry. The functional is r²SCAN.

Lattice parameters (Å, degrees): 4.334 4.334 14.648 90.00 90.00 90.00
Space group I4_1md (No. 109)
Unique sites:
1 La 0.000 0.000 0.000 x4
2 Al 0.000 0.000 0.583 x4
3 Si 0.000 0.000 0.417 x4

For the energy of formation from the pure elements, the calculation gives -2.3 eV per formula unit.


Entry 7:
This record from the Materials Project database describes crystalline LaAlSi2 at its relaxed geometry. The functional is r²SCAN.

Lattice parameters (Å, degrees): 4.1673 4.1673 11.5310 90.00 90.00 120.00
Space group P-3m1 (No. 164)
Unique sites:
1 La 0.0000 0.0000 0.1834 x2
2 Al 0.3333 0.6667 0.5801 x2
3 Si 0.3333 0.6667 0.3594 x2
4 Si 0.3333 0.6667 0.9949 x2

For the energy of formation from the pure elements, the calculation gives -2.3 eV per formula unit.


Entry 8:
This record from the Materials Project database describes crystalline La3Al4Si6 at its relaxed geometry. The functional is r²SCAN.

Lattice parameters (Å, degrees): 4.1888 4.1888 18.5684 90.00 90.00 120.00
Space group P-3m1 (No. 164)
Unique sites:
1 La 0.0000 0.0000 0.0000 x1
2 La 0.0000 0.0000 0.3866 x2
3 Al 0.3333 0.6667 0.2407 x2
4 Al 0.3333 0.6667 0.8593 x2
5 Si 0.3333 0.6667 0.1044 x2
6 Si 0.3333 0.6667 0.4969 x2
7 Si 0.3333 0.6667 0.7226 x2

For the energy of formation from the pure elements, the calculation gives -6.9 eV per formula unit.


Entry 9:
This record from the Materials Project database describes crystalline LaTi2Al20 at its relaxed geometry. The functional is r²SCAN.

Lattice parameters (Å, degrees): 14.636 14.636 14.636 90.00 90.00 90.00
Space group Fd-3m (No. 227, origin choice 2)
Unique sites:
1 La 0.125 0.125 0.125 x8
2 Ti 0.000 0.000 0.500 x16
3 Al 0.000 0.000 0.000 x16
4 Al 0.013 0.375 0.875 x48
5 Al 0.059 0.059 0.326 x96

For the energy of formation from the pure elements, the calculation gives -5.8 eV per formula unit.


Entry 10:
This record from the Materials Project database describes crystalline LaYbAl4 at its relaxed geometry. The functional is r²SCAN.

Lattice parameters (Å, degrees): 7.940 7.940 7.940 90.00 90.00 90.00
Space group F-43m (No. 216)
Unique sites:
1 La 0.000 0.000 0.000 x4
2 Yb 0.250 0.250 0.250 x4
3 Al 0.125 0.125 0.625 x16

For the energy of formation from the pure elements, the calculation gives -3.1 eV per formula unit.


Entry 11:
This record from the Materials Project database describes crystalline LaAl2Zn2 at its relaxed geometry. The functional is r²SCAN.

Lattice parameters (Å, degrees): 4.247 4.247 10.934 90.00 90.00 90.00
Space group I4/mmm (No. 139)
Unique sites:
1 La 0.000 0.000 0.000 x2
2 Al 0.000 0.500 0.250 x4
3 Zn 0.000 0.000 0.387 x4

For the energy of formation from the pure elements, the calculation gives -2.6 eV per formula unit.


Entry 12:
This record from the Materials Project database describes crystalline LaAlZn at its relaxed geometry. The functional is r²SCAN.

Lattice parameters (Å, degrees): 10.731 4.665 7.674 90.00 133.95 90.00
Space group C2/m (No. 12)
Unique sites:
1 La 0.247 0.000 0.205 x4
2 Al 0.062 0.000 0.400 x4
3 Zn 0.062 0.500 0.226 x4

For the energy of formation from the pure elements, the calculation gives -1.4 eV per formula unit.


Entry 13:
This record from the Materials Project database describes crystalline Li9Al4 at its relaxed geometry. The functional is r²SCAN.

Lattice parameters (Å, degrees): 4.448 5.363 9.588 105.14 103.20 90.07
Space group P-1 (No. 2)
Unique sites:
1 Li 0.000 0.000 0.000 x1
2 Li 0.086 0.641 0.170 x2
3 Li 0.231 0.841 0.465 x2
4 Li 0.308 0.475 0.616 x2
5 Li 0.457 0.675 0.912 x2
6 Al 0.150 0.215 0.301 x2
7 Al 0.386 0.065 0.771 x2

For the energy of formation from the pure elements, the calculation gives -2.2 eV per formula unit.


Entry 14:
This record from the Materials Project database describes crystalline LiLu2Al at its relaxed geometry. The functional is r²SCAN.

Lattice parameters (Å, degrees): 7.077 7.095 7.118 90.00 90.00 90.00
Space group Fmmm (No. 69)
Unique sites:
1 Li 0.000 0.000 0.000 x4
2 Lu 0.250 0.250 0.250 x8
3 Al 0.000 0.000 0.500 x4

For the energy of formation from the pure elements, the calculation gives -0.9 eV per formula unit.


Entry 15:
This record from the Materials Project database describes crystalline Li3AlN2 at its relaxed geometry. The functional is r²SCAN.

Lattice parameters (Å, degrees): 9.420 9.420 9.420 90.00 90.00 90.00
Space group Ia-3 (No. 206)
Unique sites:
1 Li 0.098 0.139 0.874 x48
2 Al 0.135 0.135 0.135 x16
3 N 0.000 0.250 0.033 x24
4 N 0.250 0.250 0.250 x8

For the energy of formation from the pure elements, the calculation gives -6.3 eV per formula unit.


Entry 16:
This record from the Materials Project database describes crystalline Li2NdAl at its relaxed geometry. The functional is r²SCAN.

Lattice parameters (Å, degrees): 6.857 6.857 6.857 90.00 90.00 90.00
Space group Fm-3m (No. 225)
Unique sites:
1 Li 0.250 0.250 0.250 x8
2 Nd 0.000 0.000 0.000 x4
3 Al 0.000 0.000 0.500 x4

For the energy of formation from the pure elements, the calculation gives -0.9 eV per formula unit.


Entry 17:
This record from the Materials Project database describes crystalline LiNd2Al at its relaxed geometry. The functional is r²SCAN.

Lattice parameters (Å, degrees): 7.522 7.522 7.522 90.00 90.00 90.00
Space group Fm-3m (No. 225)
Unique sites:
1 Li 0.000 0.000 0.000 x4
2 Nd 0.250 0.250 0.250 x8
3 Al 0.000 0.000 0.500 x4

For the energy of formation from the pure elements, the calculation gives -0.9 eV per formula unit.


Entry 18:
This record from the Materials Project database describes crystalline LiAl2Ni at its relaxed geometry. The functional is r²SCAN.

Lattice parameters (Å, degrees): 5.836 5.836 5.836 90.00 90.00 90.00
Space group Fm-3m (No. 225)
Unique sites:
1 Li 0.000 0.000 0.000 x4
2 Al 0.250 0.250 0.250 x8
3 Ni 0.000 0.000 0.500 x4

For the energy of formation from the pure elements, the calculation gives -2.0 eV per formula unit.


Entry 19:
This record from the Materials Project database describes crystalline LiPm2Al at its relaxed geometry. The functional is r²SCAN.

Lattice parameters (Å, degrees): 7.469 7.469 7.469 90.00 90.00 90.00
Space group Fm-3m (No. 225)
Unique sites:
1 Li 0.000 0.000 0.000 x4
2 Pm 0.250 0.250 0.250 x8
3 Al 0.000 0.000 0.500 x4

For the energy of formation from the pure elements, the calculation gives -0.9 eV per formula unit.


Entry 20:
This record from the Materials Project database describes crystalline LiAlPt2 at its relaxed geometry. The functional is r²SCAN.

Lattice parameters (Å, degrees): 5.962 5.962 5.962 90.00 90.00 90.00
Space group Fm-3m (No. 225)
Unique sites:
1 Li 0.000 0.000 0.000 x4
2 Al 0.000 0.000 0.500 x4
3 Pt 0.250 0.250 0.250 x8

For the energy of formation from the pure elements, the calculation gives -4.1 eV per formula unit.